36
Lattice="-4.656 2.949 -5.455 5.279 -1.443 -5.286 2.139 -8.459 -6.399" Properties=species:S:1:pos:R:3 comment="PBE Ca2Ti2O5, optimized geometry" mass_density_kg_m3=3709 space_group="P2_1/c (14)" ef_ev_per_fu=-29.585 volume_a3_per_fu=114.6 pbc="T T T"
O -1.310 0.935 -4.307
O 1.900 -2.392 -3.323
O 4.073 -7.887 -12.833
O 4.977 -4.908 -7.321
O 1.776 -1.587 -8.294
O -2.215 -2.044 -9.819
O 0.987 -5.366 -8.846
O 3.486 -8.212 -10.117
O -0.159 -0.274 -10.613
O 4.127 -1.063 -6.803
O 0.863 -4.560 -13.817
O 2.882 -5.752 -11.503
O 2.371 -3.953 -6.971
O 5.155 -5.266 -10.052
O -0.723 1.259 -7.024
O -0.119 -1.201 -5.637
O -1.365 -5.890 -10.337
O 2.922 -6.679 -6.527
O -2.392 -1.687 -7.088
O 0.392 -2.999 -10.170
Ca 2.107 -1.389 -10.871
Ca 3.261 -6.266 -8.844
Ca 3.223 -5.648 -14.017
Ca -0.498 -0.686 -8.297
Ca 0.642 -4.960 -11.413
Ca 0.656 -5.563 -6.269
Ca 2.121 -1.992 -5.727
Ca -0.460 -1.305 -3.123
Ti 3.709 -4.951 -5.843
Ti 0.000 0.000 0.000
Ti 1.070 -4.230 -3.200
Ti -1.258 -2.755 -5.927
Ti 1.381 -3.476 -8.570
Ti 0.312 0.753 -5.370
Ti 2.640 -0.721 -2.643
Ti -2.328 1.475 -2.727